Entry from the Materials Project: V2MoO8 after structural relaxation (PBE+U).

Summary:
ρ: 3755 kg/m³
calculated volume: 13.10 A^3/atom
M_tot: 0.000 μB/f.u.
final energy: -0.532 Ry per atom
ΔH_f (0 K): -2233 kJ/mol of formula units

a b c (Å): 9.9404 9.9404 3.9094
angles (deg): 89.87 89.87 21.90
Sites, in units of the cell vectors:
Mo1 0.0000 0.0000 0.5000
O1 0.8114 0.8114 0.0063
O2 0.1886 0.1886 0.9937
O3 0.0000 0.0000 0.0000
O4 0.9013 0.9013 0.5055
V1 0.8102 0.8102 0.5883
V2 0.1898 0.1898 0.4117
O5 0.2909 0.2909 0.5076
O6 0.0987 0.0987 0.4945
O7 0.7091 0.7091 0.4924
O8 0.5000 0.5000 0.5000

Entry from the Materials Project: VMoO5 after structural relaxation (PBE+U).

Summary:
ρ: 3522 kg/m³
calculated volume: 15.28 A^3/atom
M_tot: 1.000 μB/f.u.
final energy: -0.537 Ry per atom
ΔH_f (0 K): -1425 kJ/mol of formula units

a b c (Å): 3.8224 4.8796 6.0496
angles (deg): 89.29 108.55 90.17
Sites, in units of the cell vectors:
V1 0.1497 0.1235 0.3012
Mo1 0.8479 0.8729 0.6937
O1 0.0070 0.0084 0.0109
O2 0.6834 0.0372 0.3660
O3 0.8493 0.5241 0.7023
O4 0.3173 0.9802 0.6325
O5 0.1455 0.4537 0.2934

Entry from the Materials Project: VMoO5 after structural relaxation (PBE+U).

Summary:
ρ: 4178 kg/m³
piezoelectric modulus e_max: 2.313 C/m²
calculated volume: 12.88 A^3/atom
M_tot: 0.000 μB/f.u.
final energy: -0.536 Ry per atom
ΔH_f (0 K): -1423 kJ/mol of formula units

a b c (Å): 5.1721 5.2983 7.4744
angles (deg): 102.28 71.60 77.09
Sites, in units of the cell vectors:
V1 0.0438 0.6469 0.1826
V2 0.5438 0.6469 0.6826
O1 0.2583 0.7523 0.2891
O2 0.3058 0.2677 0.1436
O3 0.2325 0.5856 0.8917
O4 0.7583 0.7523 0.7891
O5 0.8058 0.2676 0.6436
O6 0.7762 0.0031 0.2122
O7 0.8244 0.4084 0.0300
Mo1 0.5590 0.3360 0.2507
O8 0.3244 0.4084 0.5300
Mo2 0.0590 0.3360 0.7507
O9 0.7324 0.5856 0.3918
O10 0.2762 0.0031 0.7122

Entry from the Materials Project: V2MoO8 after structural relaxation (PBE+U).

Summary:
ρ: 3531 kg/m³
calculated volume: 13.93 A^3/atom
final energy: -0.535 Ry per atom
ΔH_f (0 K): -2273 kJ/mol of formula units

a b c (Å): 9.7198 9.7198 4.3134
angles (deg): 89.75 89.75 22.08
Sites, in units of the cell vectors:
O1 0.2136 0.2136 0.4794
O2 0.8380 0.8380 0.5192
O3 0.7345 0.7345 0.0088
O4 0.3171 0.3171 0.9909
O5 0.5260 0.5260 0.9835
V1 0.8363 0.8363 0.8945
O6 0.9277 0.9277 0.9945
O7 0.1246 0.1246 0.9950
O8 0.0268 0.0268 0.4978
Mo1 0.0266 0.0266 0.8973
V2 0.2157 0.2157 0.1042

Entry from the Materials Project: VMoO5 after structural relaxation (PBE+U).

Summary:
ρ: 3548 kg/m³
calculated volume: 15.17 A^3/atom
M_tot: 1.000 μB/f.u.
final energy: -0.537 Ry per atom
ΔH_f (0 K): -1427 kJ/mol of formula units

a b c (Å): 18.9788 6.1586 6.1632
angles (deg): 100.42 107.94 50.80
Sites, in units of the cell vectors:
V1 0.6060 0.9539 0.9906
O1 0.7428 0.5448 0.5722
O2 0.5439 0.5449 0.5785
O3 0.9479 0.5349 0.5831
O4 0.3427 0.0937 0.6551
V2 0.8056 0.9483 0.9903
Mo1 0.8189 0.1873 0.5917
O5 0.8763 0.0668 0.9316
Mo2 0.4160 0.1846 0.5940
V3 0.0202 0.1961 0.5991
O6 0.0734 0.0857 0.9334
O7 0.1427 0.1017 0.6615
O8 0.3417 0.5425 0.5763
O9 0.7458 0.0889 0.6573
O10 0.1480 0.5309 0.5857
O11 0.9444 0.0962 0.6615
O12 0.5441 0.0922 0.6561
O13 0.8124 0.0758 0.3015
O14 0.6780 0.0606 0.9263
Mo3 0.2062 0.9661 0.9969
V4 0.2177 0.1921 0.5985
O15 0.6775 0.6135 0.0037
O16 0.2757 0.0759 0.9281
O17 0.8770 0.6071 0.0037
O18 0.0817 0.6084 0.0171
O19 0.0132 0.0805 0.3145
O20 0.6130 0.0753 0.3026
O21 0.4781 0.0595 0.9251
O22 0.4753 0.6111 0.9985
O23 0.2797 0.6088 0.0090
O24 0.4133 0.0755 0.3014
Mo4 0.6178 0.1869 0.5950
O25 0.2131 0.0819 0.3110
V5 0.4066 0.9518 0.9877
Mo5 0.0051 0.9656 0.0012

Entry from the Materials Project: V2MoO8 after structural relaxation (PBE+U).

Summary:
ρ: 3470 kg/m³
piezoelectric modulus e_max: 1.953 C/m²
calculated volume: 14.18 A^3/atom
M_tot: 0.000 μB/f.u.
final energy: -0.534 Ry per atom
ΔH_f (0 K): -2257 kJ/mol of formula units

a b c (Å): 9.8675 9.8675 4.3332
angles (deg): 90.00 90.00 158.31
Sites, in units of the cell vectors:
Mo1 0.5000 0.5000 0.9639
V1 0.6879 0.3121 0.9560
O1 0.0000 0.0000 0.0552
O2 0.3139 0.6861 0.5828
O3 0.4024 0.5976 0.0545
O4 0.6861 0.3139 0.5828
O5 0.5000 0.5000 0.5672
O6 0.2093 0.7907 0.0401
O7 0.5976 0.4024 0.0545
V2 0.3121 0.6879 0.9560
O8 0.7907 0.2093 0.0401

Entry from the Materials Project: V3MoO6 after structural relaxation (PBE+U).

Summary:
ρ: 5071 kg/m³
calculated volume: 11.29 A^3/atom
M_tot: 9.000 μB/f.u.
final energy: -0.578 Ry per atom
ΔH_f (0 K): -2247 kJ/mol of formula units

a b c (Å): 5.6384 5.6384 5.6384
angles (deg): 55.30 55.30 55.30
Sites, in units of the cell vectors:
O1 0.4343 0.0561 0.7529
O2 0.5402 0.9482 0.2671
O3 0.7529 0.4343 0.0561
V1 0.3504 0.3504 0.3504
O4 0.2671 0.5402 0.9482
V2 0.1493 0.1493 0.1493
O5 0.0561 0.7529 0.4343
Mo1 0.8508 0.8508 0.8508
O6 0.9482 0.2671 0.5402
V3 0.6507 0.6507 0.6507

Entry from the Materials Project: VMoO5 after structural relaxation (PBE+U).

Summary:
ρ: 3584 kg/m³
calculated volume: 15.02 A^3/atom
final energy: -0.539 Ry per atom
ΔH_f (0 K): -1451 kJ/mol of formula units

a b c (Å): 4.6546 6.7205 6.7205
angles (deg): 90.00 90.00 90.00
Sites, in units of the cell vectors:
V1 0.1702 0.7500 0.7500
O1 0.2770 0.4647 0.7845
O2 0.1805 0.2500 0.2500
O3 0.7230 0.2845 0.5353
O4 0.2770 0.0353 0.7155
O5 0.2770 0.7845 0.0353
Mo1 0.5000 0.7500 0.2500
V2 0.8298 0.2500 0.2500
Mo2 0.5000 0.2500 0.7500
O6 0.8195 0.7500 0.7500
O7 0.7230 0.9647 0.2845
O8 0.7230 0.5353 0.2155
O9 0.2770 0.7155 0.4647
O10 0.7230 0.2155 0.9647

> calculated volume of number 8 (VMoO5)?

15.02 A^3/atom

> The highest final energy belongs to which entry?

number 1

Repeat the seventh record exactly.
Entry from the Materials Project: V3MoO6 after structural relaxation (PBE+U).

Summary:
ρ: 5071 kg/m³
calculated volume: 11.29 A^3/atom
M_tot: 9.000 μB/f.u.
final energy: -0.578 Ry per atom
ΔH_f (0 K): -2247 kJ/mol of formula units

a b c (Å): 5.6384 5.6384 5.6384
angles (deg): 55.30 55.30 55.30
Sites, in units of the cell vectors:
O1 0.4343 0.0561 0.7529
O2 0.5402 0.9482 0.2671
O3 0.7529 0.4343 0.0561
V1 0.3504 0.3504 0.3504
O4 0.2671 0.5402 0.9482
V2 0.1493 0.1493 0.1493
O5 0.0561 0.7529 0.4343
Mo1 0.8508 0.8508 0.8508
O6 0.9482 0.2671 0.5402
V3 0.6507 0.6507 0.6507

> Look up the final energy of the seventh one.

-0.578 Ry per atom